No. 1
A plane-wave DFT calculation with PBE-GGA was carried out for a relaxed structure of Na5La2Al2P5SO24.

a = 8.941 Å, b = 8.966 Å, c = 22.834 Å
α = 89.41°, β = 88.84°, γ = 61.01°
Space group P1 (No. 1)
Unique sites:
Na1 0.000 0.000 0.000 [1 per cell]
Na2 0.001 0.662 0.743 [1 per cell]
Na3 0.024 0.324 0.914 [1 per cell]
Na4 0.306 0.040 0.432 [1 per cell]
Na5 0.325 0.384 0.358 [1 per cell]
Na6 0.337 0.349 0.823 [1 per cell]
Na7 0.628 0.699 0.187 [1 per cell]
Na8 0.630 0.688 0.667 [1 per cell]
Na9 0.639 0.008 0.273 [1 per cell]
Na10 0.644 0.372 0.746 [1 per cell]
Na11 0.684 0.347 0.093 [1 per cell]
Na12 0.699 0.983 0.590 [1 per cell]
Na13 0.980 0.698 0.095 [1 per cell]
Na14 0.986 0.034 0.513 [1 per cell]
Na15 0.992 0.381 0.274 [1 per cell]
La1 0.020 0.019 0.161 [1 per cell]
La2 0.326 0.347 0.203 [1 per cell]
La3 0.358 0.339 0.978 [1 per cell]
La4 0.646 0.701 0.020 [1 per cell]
La5 0.666 0.668 0.354 [1 per cell]
La6 0.996 0.010 0.838 [1 per cell]
Al1 0.017 0.029 0.664 [1 per cell]
Al2 0.339 0.324 0.500 [1 per cell]
Al3 0.345 0.338 0.683 [1 per cell]
Al4 0.676 0.683 0.814 [1 per cell]
Al5 0.682 0.658 0.524 [1 per cell]
Al6 0.972 0.034 0.364 [1 per cell]
P1 0.008 0.327 0.753 [1 per cell]
P2 0.024 0.347 0.086 [1 per cell]
P3 0.292 0.013 0.283 [1 per cell]
P4 0.306 0.699 0.748 [1 per cell]
P5 0.329 0.053 0.592 [1 per cell]
P6 0.329 0.654 0.091 [1 per cell]
P7 0.625 0.348 0.590 [1 per cell]
P8 0.640 0.036 0.099 [1 per cell]
P9 0.665 0.396 0.907 [1 per cell]
P10 0.665 0.994 0.434 [1 per cell]
P11 0.687 0.019 0.747 [1 per cell]
P12 0.705 0.315 0.268 [1 per cell]
P13 0.963 0.680 0.910 [1 per cell]
P14 0.987 0.369 0.431 [1 per cell]
P15 0.994 0.730 0.272 [1 per cell]
S1 0.035 0.630 0.588 [1 per cell]
S2 0.357 0.668 0.439 [1 per cell]
S3 0.373 0.980 0.905 [1 per cell]
O1 0.015 0.804 0.587 [1 per cell]
O2 0.048 0.245 0.814 [1 per cell]
O3 0.107 0.546 0.645 [1 per cell]
O4 0.118 0.329 0.145 [1 per cell]
O5 0.124 0.359 0.032 [1 per cell]
O6 0.130 0.509 0.902 [1 per cell]
O7 0.147 0.521 0.541 [1 per cell]
O8 0.152 0.551 0.278 [1 per cell]
O9 0.162 0.346 0.732 [1 per cell]
O10 0.166 0.037 0.608 [1 per cell]
O11 0.166 0.347 0.446 [1 per cell]
O12 0.171 0.828 0.081 [1 per cell]
O13 0.185 0.001 0.336 [1 per cell]
O14 0.195 0.828 0.444 [1 per cell]
O15 0.195 0.840 0.703 [1 per cell]
O16 0.198 0.002 0.911 [1 per cell]
O17 0.206 0.742 0.807 [1 per cell]
O18 0.214 0.018 0.224 [1 per cell]
O19 0.295 0.185 0.289 [1 per cell]
O20 0.301 0.150 0.533 [1 per cell]
O21 0.301 0.568 0.146 [1 per cell]
O22 0.324 0.522 0.733 [1 per cell]
O23 0.344 0.519 0.459 [1 per cell]
O24 0.354 0.544 0.037 [1 per cell]
O25 0.358 0.163 0.637 [1 per cell]
O26 0.360 0.147 0.892 [1 per cell]
O27 0.419 0.631 0.377 [1 per cell]
O28 0.445 0.929 0.964 [1 per cell]
O29 0.474 0.855 0.859 [1 per cell]
O30 0.475 0.863 0.282 [1 per cell]
O31 0.488 0.680 0.754 [1 per cell]
O32 0.490 0.695 0.472 [1 per cell]
O33 0.492 0.666 0.102 [1 per cell]
O34 0.494 0.875 0.587 [1 per cell]
O35 0.507 0.169 0.448 [1 per cell]
O36 0.511 0.369 0.896 [1 per cell]
O37 0.512 0.169 0.730 [1 per cell]
O38 0.518 0.381 0.648 [1 per cell]
O39 0.524 0.309 0.544 [1 per cell]
O40 0.525 0.139 0.048 [1 per cell]
O41 0.539 0.305 0.279 [1 per cell]
O42 0.563 0.121 0.159 [1 per cell]
O43 0.615 0.944 0.376 [1 per cell]
O44 0.644 0.509 0.575 [1 per cell]
O45 0.648 0.476 0.968 [1 per cell]
O46 0.671 0.852 0.102 [1 per cell]
O47 0.679 0.507 0.857 [1 per cell]
O48 0.681 0.496 0.272 [1 per cell]
O49 0.681 0.849 0.756 [1 per cell]
O50 0.693 0.856 0.482 [1 per cell]
O51 0.728 0.083 0.803 [1 per cell]
O52 0.776 0.252 0.205 [1 per cell]
O53 0.805 0.186 0.597 [1 per cell]
O54 0.816 0.027 0.088 [1 per cell]
O55 0.829 0.012 0.424 [1 per cell]
O56 0.832 0.708 0.275 [1 per cell]
O57 0.833 0.222 0.910 [1 per cell]
O58 0.835 0.980 0.699 [1 per cell]
O59 0.837 0.202 0.315 [1 per cell]
O60 0.841 0.491 0.473 [1 per cell]
O61 0.842 0.702 0.858 [1 per cell]
O62 0.843 0.507 0.755 [1 per cell]
O63 0.849 0.511 0.092 [1 per cell]
O64 0.855 0.651 0.583 [1 per cell]
O65 0.882 0.672 0.970 [1 per cell]
O66 0.947 0.450 0.370 [1 per cell]
O67 0.965 0.210 0.713 [1 per cell]
O68 0.985 0.853 0.320 [1 per cell]
O69 0.989 0.197 0.077 [1 per cell]
O70 0.989 0.803 0.210 [1 per cell]
O71 0.994 0.834 0.913 [1 per cell]
O72 0.996 0.191 0.429 [1 per cell]

Summary:
**Mass density**: 3.17 Mg/m³
**Energy with MP2020 corrections**: -0.5378 Ry/atom
**Calculated total energy**: -268.88 eV/f.u.
**Total magnetic moment**: 0.00 μB/cell
**Energy of formation from the pure elements**: -2.86 eV per atom


No. 2
A plane-wave DFT calculation with PBE-GGA was carried out for a relaxed structure of Na3La2Al2P3S3O24.

a = 8.906 Å, b = 8.917 Å, c = 23.433 Å
α = 87.73°, β = 88.19°, γ = 60.15°
Space group P1 (No. 1)
Unique sites:
Na1 0.000 0.000 0.000 [1 per cell]
Na2 0.001 0.007 0.481 [1 per cell]
Na3 0.324 0.325 0.824 [1 per cell]
Na4 0.330 0.295 0.315 [1 per cell]
Na5 0.362 0.626 0.239 [1 per cell]
Na6 0.649 0.656 0.652 [1 per cell]
Na7 0.657 0.661 0.157 [1 per cell]
Na8 0.671 0.982 0.568 [1 per cell]
Na9 0.969 0.688 0.076 [1 per cell]
La1 0.316 0.329 0.989 [1 per cell]
La2 0.330 0.325 0.459 [1 per cell]
La3 0.344 0.314 0.662 [1 per cell]
La4 0.665 0.674 0.808 [1 per cell]
La5 0.982 0.978 0.850 [1 per cell]
La6 0.998 0.003 0.636 [1 per cell]
Al1 0.015 0.985 0.149 [1 per cell]
Al2 0.277 0.346 0.175 [1 per cell]
Al3 0.659 0.666 0.496 [1 per cell]
Al4 0.661 0.637 0.015 [1 per cell]
Al5 0.663 0.688 0.304 [1 per cell]
Al6 0.990 0.980 0.332 [1 per cell]
P1 0.010 0.320 0.083 [1 per cell]
P2 0.277 0.999 0.242 [1 per cell]
P3 0.323 0.635 0.084 [1 per cell]
P4 0.351 0.991 0.563 [1 per cell]
P5 0.632 0.352 0.563 [1 per cell]
P6 0.675 0.003 0.736 [1 per cell]
P7 0.693 0.928 0.399 [1 per cell]
P8 0.944 0.659 0.923 [1 per cell]
P9 0.991 0.707 0.240 [1 per cell]
S1 0.000 0.632 0.566 [1 per cell]
S2 0.305 0.675 0.741 [1 per cell]
S3 0.370 0.946 0.920 [1 per cell]
S4 0.375 0.691 0.397 [1 per cell]
S5 0.636 0.021 0.083 [1 per cell]
S6 0.664 0.368 0.918 [1 per cell]
S7 0.709 0.274 0.242 [1 per cell]
S8 0.917 0.381 0.397 [1 per cell]
S9 0.998 0.304 0.741 [1 per cell]
O1 0.011 0.209 0.689 [1 per cell]
O2 0.038 0.785 0.290 [1 per cell]
O3 0.068 0.541 0.622 [1 per cell]
O4 0.092 0.366 0.397 [1 per cell]
O5 0.111 0.267 0.026 [1 per cell]
O6 0.111 0.371 0.126 [1 per cell]
O7 0.120 0.544 0.519 [1 per cell]
O8 0.127 0.501 0.919 [1 per cell]
O9 0.149 0.329 0.743 [1 per cell]
O10 0.155 0.029 0.295 [1 per cell]
O11 0.155 0.521 0.229 [1 per cell]
O12 0.170 0.819 0.097 [1 per cell]
O13 0.197 0.959 0.926 [1 per cell]
O14 0.201 0.848 0.394 [1 per cell]
O15 0.201 0.954 0.566 [1 per cell]
O16 0.203 0.950 0.192 [1 per cell]
O17 0.213 0.774 0.793 [1 per cell]
O18 0.214 0.770 0.689 [1 per cell]
O19 0.262 0.584 0.031 [1 per cell]
O20 0.290 0.167 0.228 [1 per cell]
O21 0.311 0.507 0.745 [1 per cell]
O22 0.315 0.128 0.516 [1 per cell]
O23 0.351 0.501 0.134 [1 per cell]
O24 0.355 0.535 0.399 [1 per cell]
O25 0.357 0.118 0.919 [1 per cell]
O26 0.382 0.058 0.620 [1 per cell]
O27 0.439 0.876 0.863 [1 per cell]
O28 0.459 0.700 0.450 [1 per cell]
O29 0.465 0.838 0.252 [1 per cell]
O30 0.481 0.652 0.737 [1 per cell]
O31 0.482 0.672 0.345 [1 per cell]
O32 0.484 0.833 0.967 [1 per cell]
O33 0.492 0.643 0.070 [1 per cell]
O34 0.496 0.164 0.744 [1 per cell]
O35 0.507 0.119 0.128 [1 per cell]
O36 0.515 0.340 0.920 [1 per cell]
O37 0.521 0.825 0.551 [1 per cell]
O38 0.526 0.315 0.521 [1 per cell]
O39 0.531 0.110 0.400 [1 per cell]
O40 0.531 0.297 0.239 [1 per cell]
O41 0.541 0.386 0.623 [1 per cell]
O42 0.586 0.111 0.026 [1 per cell]
O43 0.649 0.481 0.966 [1 per cell]
O44 0.651 0.507 0.545 [1 per cell]
O45 0.654 0.844 0.078 [1 per cell]
O46 0.656 0.841 0.731 [1 per cell]
O47 0.663 0.446 0.862 [1 per cell]
O48 0.669 0.836 0.349 [1 per cell]
O49 0.686 0.453 0.245 [1 per cell]
O50 0.706 0.826 0.456 [1 per cell]
O51 0.754 0.019 0.677 [1 per cell]
O52 0.788 0.988 0.787 [1 per cell]
O53 0.792 0.166 0.295 [1 per cell]
O54 0.812 0.184 0.565 [1 per cell]
O55 0.814 0.994 0.093 [1 per cell]
O56 0.819 0.188 0.192 [1 per cell]
O57 0.822 0.468 0.451 [1 per cell]
O58 0.826 0.485 0.345 [1 per cell]
O59 0.829 0.202 0.925 [1 per cell]
O60 0.829 0.686 0.250 [1 per cell]
O61 0.832 0.642 0.558 [1 per cell]
O62 0.833 0.491 0.074 [1 per cell]
O63 0.836 0.645 0.974 [1 per cell]
O64 0.837 0.472 0.736 [1 per cell]
O65 0.861 0.941 0.390 [1 per cell]
O66 0.865 0.669 0.864 [1 per cell]
O67 0.933 0.208 0.397 [1 per cell]
O68 0.952 0.828 0.929 [1 per cell]
O69 0.965 0.822 0.186 [1 per cell]
O70 0.969 0.813 0.567 [1 per cell]
O71 0.989 0.167 0.104 [1 per cell]
O72 0.994 0.208 0.794 [1 per cell]

Summary:
**Mass density**: 3.01 Mg/m³
**Energy with MP2020 corrections**: -0.5350 Ry/atom
**Calculated total energy**: -252.85 eV/f.u.
**Total magnetic moment**: 0.00 μB/cell
**Energy of formation from the pure elements**: -2.72 eV per atom